Record 1
The following is a DFT calculation (PBE) of CeAlCu2Ni2 after structural relaxation.

POSCAR file:
```
CeAlCu2Ni2
1.0
3.9695 0.0000 0.0000
0.0000 2.5884 4.4557
0.0000 -2.5884 4.4557
Ce Al Cu Ni
1 1 2 2
direct
0.0000 0.0000 0.0000 Ce
0.0000 0.6695 0.6695 Al
0.0000 0.3298 0.3298 Cu
0.5000 0.4947 0.4947 Cu
0.5000 0.4947 0.9962 Ni
0.5000 0.9962 0.4947 Ni
```

Summary:
Final energy in eV per atom: -5.194
Calculated formation energy in eV per atom: -0.287
Energy above the most stable polymorph in this dataset in meV/atom: 75

=====

Record 2
The following is a DFT calculation (PBE) of NdSn4Rh2 after structural relaxation.

POSCAR file:
```
NdSn4Rh2
1.0
18.7070 0.0000 0.0000
0.0000 4.5259 0.0000
0.0000 0.0000 7.2581
Nd Sn Rh
4 16 8
direct
0.1418 0.2500 0.0024 Nd
0.3582 0.7500 0.5024 Nd
0.6418 0.2500 0.4976 Nd
0.8582 0.7500 0.9976 Nd
0.0315 0.7500 0.8653 Sn
0.0682 0.2500 0.4833 Sn
0.1821 0.7500 0.3021 Sn
0.1947 0.7500 0.7225 Sn
0.3053 0.2500 0.2225 Sn
0.3179 0.2500 0.8021 Sn
0.4318 0.7500 0.9833 Sn
0.4685 0.2500 0.3653 Sn
0.5315 0.7500 0.6347 Sn
0.5682 0.2500 0.0167 Sn
0.6821 0.7500 0.1979 Sn
0.6947 0.7500 0.7775 Sn
0.8053 0.2500 0.2775 Sn
0.8179 0.2500 0.6979 Sn
0.9318 0.7500 0.5167 Sn
0.9685 0.2500 0.1347 Sn
0.0350 0.7500 0.2498 Rh
0.2138 0.2500 0.5173 Rh
0.2862 0.7500 0.0173 Rh
0.4650 0.2500 0.7498 Rh
0.5350 0.7500 0.2502 Rh
0.7138 0.2500 0.9827 Rh
0.7862 0.7500 0.4827 Rh
0.9650 0.2500 0.7502 Rh
```

Summary:
Final energy in eV per atom: -5.707
Calculated formation energy in eV per atom: -0.630

=====

Record 3
The following is a DFT calculation (PBE) of Cr4FeCuSe8 after structural relaxation.

POSCAR file:
```
Cr4FeCuSe8
1.0
0.0000 5.2422 5.2422
5.2422 0.0000 5.2422
5.2422 5.2422 0.0000
Cr Fe Cu Se
4 1 1 8
direct
0.3767 0.3767 0.3767 Cr
0.3767 0.3767 0.8699 Cr
0.3767 0.8699 0.3767 Cr
0.8699 0.3767 0.3767 Cr
0.0000 0.0000 0.0000 Fe
0.7500 0.7500 0.7500 Cu
0.1324 0.1324 0.1324 Se
0.1324 0.1324 0.6029 Se
0.1324 0.6029 0.1324 Se
0.1491 0.6170 0.6170 Se
0.6029 0.1324 0.1324 Se
0.6170 0.1491 0.6170 Se
0.6170 0.6170 0.1491 Se
0.6170 0.6170 0.6170 Se
```

Summary:
Final energy in eV per atom: -6.093
Calculated formation energy in eV per atom: -0.709
Corrected total energy (MP2020 scheme) in eV/atom: -6.36